Record 1
Below is an optimized crystal structure of Ca2CuS2O2, with properties calculated at the GGA-PBE level.

POSCAR file:
```
Ca2CuS2O2
1.0
3.8625 0.0000 0.0000
0.0000 3.8625 0.0000
0.0000 0.0000 7.7455
Ca Cu S O
2 1 2 2
Cartesian
1.9312 1.9312 5.4847 Ca
1.9312 1.9312 2.2608 Ca
0.0000 0.0000 3.8727 Cu
0.0000 0.0000 6.6742 S
0.0000 0.0000 1.0713 S
0.0000 1.9312 3.8727 O
1.9312 0.0000 3.8727 O
```

The value obtained for the formation energy is -1.94 eV/atom. The space group is P4/mmm, No. 123. The magnetic moment comes out at 0.01 μB/cell. The value obtained for the density is 3.45 g/cm³.

=====

Record 2
Below is an optimized crystal structure of Sc2C, with properties calculated at the GGA-PBE level.

POSCAR file:
```
Sc2C
1.0
-1.6626 -2.8797 0.0000
-1.6626 2.8797 0.0000
0.0000 0.0000 -5.6683
Sc C
2 1
Cartesian
-1.6626 -0.9599 -1.6009 Sc
-1.6626 0.9599 -4.0674 Sc
0.0000 0.0000 -2.8341 C
```

The value obtained for the formation energy is -0.42 eV/atom. The space group is P-3m1, No. 164. The value obtained for the density is 3.12 g/cm³.

=====

Record 3
Below is an optimized crystal structure of Na8BeAl4Si7Br2O24, with properties calculated at the GGA-PBE level.

POSCAR file:
```
Na8BeAl4Si7Br2O24
1.0
-5.2040 5.6662 4.7534
-7.3565 -4.5656 -2.6115
0.7678 -5.3994 7.2768
Na Be Al Si Br O
8 1 4 7 2 24
Cartesian
-3.2821 -0.6555 0.5295 Na
-4.2713 -2.0862 9.5974 Na
-6.8441 -6.9758 6.2407 Na
-9.1878 1.1198 2.4699 Na
-9.2507 -2.6937 5.2824 Na
-5.8431 -4.5860 2.2729 Na
-6.0337 0.8791 6.3481 Na
-2.4578 -2.1971 4.9341 Na
0.3839 -2.6997 3.6384 Be
-7.0129 -2.0689 7.7296 Al
-7.9461 -1.9472 2.2330 Al
-4.2307 0.3497 3.5453 Al
-4.3957 -4.9312 5.3297 Al
0.0000 0.0000 0.0000 Si
-6.2802 0.5503 1.0710 Si
-11.0857 -1.6256 2.8574 Si
-1.0837 -0.0237 2.9907 Si
-5.8963 -2.1494 4.7094 Si
-6.3884 0.5221 9.5317 Si
-5.0275 -7.4704 3.4577 Si
-2.0241 -1.2306 7.8533 Br
-3.4883 -3.6186 0.4945 Br
-4.5100 -4.9621 7.0706 O
-6.3395 -1.0067 8.9570 O
-5.0001 -6.4783 4.7557 O
-10.6090 -3.3131 8.8777 O
-6.6619 -3.7027 8.2322 O
-5.3580 0.9436 2.3530 O
-7.7465 -4.1180 -1.0906 O
-0.5709 -5.2947 6.3483 O
-4.6589 4.1281 4.7022 O
-7.0555 -0.8765 1.1817 O
-9.5593 -1.2696 2.3958 O
-11.2166 -1.6693 4.4502 O
-7.8532 -3.5092 1.4496 O
-4.2715 1.5454 4.8222 O
-2.6864 0.1569 2.7290 O
-4.6621 -1.2096 4.1942 O
-0.7351 -1.5114 3.4615 O
-6.0472 -6.9439 2.3445 O
-6.2694 -1.6325 6.2145 O
-7.2768 -2.0608 3.8385 O
-5.5865 1.5269 8.5813 O
-5.3770 -3.6947 4.5902 O
-2.7067 -4.6076 5.0061 O
-8.7539 -2.0263 7.5595 O
```

The value obtained for the formation energy is -2.95 eV/atom. The space group is P-4, No. 81. The magnetic moment comes out at 0.00 μB/cell. The value obtained for the density is 2.32 g/cm³.

=====

Record 4
Below is an optimized crystal structure of MgTiGe2O6, with properties calculated at the GGA-PBE level.

POSCAR file:
```
MgTiGe2O6
1.0
4.3124 5.3230 0.0000
-4.3124 5.3230 0.0000
0.0000 1.0554 5.0326
Mg Ti Ge O
2 2 4 12
Cartesian
1.6782 5.5868 1.2582 Mg
-1.6782 6.1145 3.7745 Mg
-3.4434 5.5868 1.2582 Ti
3.4434 6.1145 3.7745 Ti
-1.0583 7.7048 0.6276 Ge
-1.0583 3.4689 1.8887 Ge
1.0583 3.9966 4.4051 Ge
1.0583 8.2325 3.1439 Ge
0.4411 7.2356 1.6585 O
0.4411 3.9381 0.8578 O
-0.4411 4.4658 3.3741 O
-0.4411 7.7632 4.1748 O
2.1646 7.3137 4.4059 O
2.1646 4.9154 3.1431 O
-2.1646 4.3877 0.6267 O
-2.1646 6.7860 1.8896 O
-0.7192 9.6235 0.5682 O
-0.7192 1.5502 1.9481 O
0.7192 2.0779 4.4645 O
0.7192 10.1512 3.0845 O
```

The value obtained for the formation energy is -2.51 eV/atom. The space group is C2/c, No. 15. The magnetic moment comes out at 0.00 μB/cell. The value obtained for the density is 4.51 g/cm³.

=====

Record 5
Below is an optimized crystal structure of TmCd2, with properties calculated at the GGA-PBE level.

POSCAR file:
```
TmCd2
1.0
-0.7605 3.4500 -3.4726
-2.5255 -4.2592 -0.1450
-2.4502 1.3877 1.9153
Tm Cd
1 2
Cartesian
0.0000 0.0000 0.0000 Tm
-3.1623 -0.9956 -0.2965 Cd
-2.5740 1.5741 -1.4057 Cd
```

The value obtained for the formation energy is -0.28 eV/atom. The space group is P6/mmm, No. 191. The value obtained for the density is 9.03 g/cm³.

=====

Record 6
Below is an optimized crystal structure of Mn6Ga2CN, with properties calculated at the GGA-PBE level.

POSCAR file:
```
Mn6Ga2CN
1.0
-3.1333 -2.4977 -2.4334
3.1942 -3.3682 -0.6558
-2.8028 -4.1999 7.9197
Mn Ga C N
6 2 1 1
Cartesian
0.0305 -2.9329 -1.5446 Mn
-1.3709 -5.0329 2.4153 Mn
-2.2422 -2.2611 0.6921 Mn
-3.6939 -4.4365 4.7942 Mn
0.9216 -2.6963 1.5809 Mn
-0.5302 -4.8718 5.6831 Mn
-0.6727 -3.9866 0.4423 Ga
-2.0691 -6.0792 4.3882 Ga
0.0000 0.0000 0.0000 C
-1.4014 -2.1000 3.9599 N
```

The value obtained for the formation energy is 1.80 eV/atom. The space group is P4/mmm, No. 123. The magnetic moment comes out at 22.81 μB/cell. The value obtained for the density is 3.98 g/cm³.

=====

Record 7
Below is an optimized crystal structure of Na13Ca7S12Cl3O48, with properties calculated at the GGA-PBE level.

POSCAR file:
```
Na13Ca7S12Cl3O48
1.0
9.7233 0.0000 0.0000
4.7931 8.4665 0.0000
0.0236 0.0052 13.7704
Na Ca S Cl O
13 7 12 3 48
Cartesian
6.1523 6.1904 12.0271 Na
11.9060 8.4476 12.0425 Na
11.9932 8.4146 5.2279 Na
9.7137 5.6682 13.7478 Na
9.7514 5.7595 6.8203 Na
9.7122 5.6999 3.5149 Na
3.5782 6.2181 8.6199 Na
11.0246 2.2867 12.0521 Na
4.7970 2.8293 10.3069 Na
4.8759 2.7752 3.4126 Na
4.8383 2.7807 6.9637 Na
4.8368 2.8253 13.6740 Na
2.5548 0.0803 8.6496 Na
6.0663 6.3406 5.2528 Ca
9.6943 5.7480 10.3745 Ca
13.2861 6.3069 1.7154 Ca
10.9251 2.1877 5.2193 Ca
7.2667 8.4569 1.7213 Ca
8.3733 2.1636 8.5821 Ca
8.4392 2.1510 1.7142 Ca
10.8268 8.1806 8.6184 S
10.8092 8.1844 1.7091 S
6.9640 5.3149 8.6144 S
6.9098 5.3454 1.7276 S
3.1768 5.1349 12.0318 S
3.1947 5.0554 5.1240 S
11.3072 3.3888 8.6145 S
11.3224 3.3732 1.7267 S
7.6932 3.1355 12.0096 S
7.6370 3.1664 5.1185 S
3.7170 0.2459 12.0438 S
3.7200 0.2970 5.1196 S
0.0291 0.0194 7.6040 Cl
4.8225 8.4635 3.9477 Cl
9.7121 0.0026 0.4399 Cl
7.0409 6.0796 7.3398 O
7.0263 6.2222 0.5320 O
6.9121 6.2568 9.7532 O
6.8757 6.2655 2.9207 O
8.7897 7.2346 12.0080 O
8.5755 7.2729 5.0977 O
9.4600 7.5673 8.7826 O
9.4411 7.5957 1.8480 O
11.6541 7.7404 9.7793 O
11.6449 7.7326 2.8645 O
11.4080 7.6662 7.3604 O
11.4387 7.6315 0.4778 O
8.1296 4.4900 1.8204 O
8.2709 4.5401 8.7373 O
11.4825 5.6334 11.9929 O
11.5615 5.6398 5.1106 O
8.8194 4.1228 11.9640 O
8.8757 3.9967 5.1029 O
11.3338 4.8742 8.8092 O
11.4515 4.8552 1.8442 O
3.8125 5.5175 13.3309 O
3.9732 5.4269 3.8940 O
3.9737 5.7354 10.9377 O
3.9955 5.5422 6.2846 O
10.5729 3.1201 7.3306 O
10.4990 3.0567 0.5309 O
10.4911 2.7776 9.7078 O
10.5458 2.8700 2.9165 O
3.1874 3.6468 11.9350 O
3.1194 3.5579 5.1750 O
5.8293 4.3610 8.6046 O
5.6739 4.5210 1.6852 O
2.9540 2.8358 8.5801 O
2.9279 2.7127 1.6739 O
6.3877 3.8390 11.9288 O
6.4092 4.0194 5.1582 O
3.0776 0.6046 13.3473 O
2.8552 0.7426 6.2567 O
2.7837 0.6243 10.9580 O
3.0567 0.8136 3.8686 O
4.9956 1.0018 11.9304 O
5.0607 0.9111 5.2217 O
5.9457 1.2120 8.5961 O
5.9565 1.2081 1.6674 O
7.8248 2.1610 10.8822 O
7.5577 2.3122 3.9025 O
7.7439 2.3501 13.2736 O
7.6476 2.2757 6.3135 O
```

The value obtained for the formation energy is -2.40 eV/atom. The space group is P1, No. 1. The value obtained for the density is 2.69 g/cm³.

=====

Record 8
Below is an optimized crystal structure of YHfMg14O16, with properties calculated at the GGA-PBE level.

POSCAR file:
```
YHfMg14O16
1.0
-7.4120 -1.3047 -4.5501
-0.7601 -8.0161 3.5368
-2.3216 1.6766 3.3011
Y Hf Mg O
1 1 14 16
Cartesian
0.0000 0.0000 0.0000 Y
-4.0861 -4.6604 -0.5067 Hf
-3.7060 -0.6523 -2.2751 Mg
-0.3801 -4.0080 1.7684 Mg
-3.1078 0.4956 0.4553 Mg
-6.6258 -0.1237 -1.7043 Mg
-3.3620 -3.4903 2.3010 Mg
-7.1318 -4.1539 -0.0133 Mg
-1.3605 -1.2674 2.5796 Mg
-5.0536 -1.7835 0.2444 Mg
-1.7213 -5.0720 4.2582 Mg
-5.4402 -5.8606 2.0433 Mg
-2.0907 -2.3846 -0.2593 Mg
-5.7102 -3.0217 -2.4812 Mg
-2.4619 -6.2990 1.4678 Mg
-6.0814 -6.9362 -0.7541 Mg
-0.1958 -2.0647 0.9110 O
-3.8861 -2.5511 -1.4373 O
-0.5644 -5.9514 2.6258 O
-4.2861 -6.7696 0.4240 O
-3.1872 -1.4730 1.3992 O
-6.9233 -2.1306 -0.8943 O
-3.5704 -5.5135 3.1820 O
-7.3065 -6.1712 0.8885 O
-1.1608 0.8383 1.6505 O
-4.8668 0.1860 -0.6245 O
-1.5409 -3.1697 3.4189 O
-5.2469 -3.8221 1.1439 O
-1.9091 -0.3361 -1.1720 O
-5.5029 -0.9686 -3.3781 O
-2.1358 -4.3171 0.6906 O
-6.0364 -5.0037 -1.7039 O
```

The value obtained for the formation energy is -2.87 eV/atom. The space group is P4/mmm, No. 123. The magnetic moment comes out at 1.99 μB/cell. The value obtained for the density is 4.24 g/cm³.

=====

Record 9
Below is an optimized crystal structure of Bi4O7, with properties calculated at the GGA-PBE level.

POSCAR file:
```
Bi4O7
1.0
-0.9744 -7.7743 -0.9751
7.2806 -0.5353 -3.0077
2.0392 -0.8947 5.0955
Bi O
8 14
Cartesian
5.0546 -8.3872 -2.0451 Bi
0.8181 -6.5977 3.1324 Bi
2.2264 -0.3501 0.4979 Bi
8.5918 -3.0736 0.6401 Bi
4.9301 -2.9770 2.1225 Bi
4.4799 -6.6943 1.6500 Bi
1.8994 -4.2490 -0.0558 Bi
5.3816 -4.4883 -1.4914 Bi
3.6403 -0.2676 -1.5039 O
-0.4872 -3.8872 -0.4876 O
6.1960 -2.7390 0.0737 O
5.8023 -6.6331 -0.4524 O
2.1495 -6.4653 1.0389 O
2.5432 -2.5712 1.5651 O
5.2073 -2.3324 -2.4935 O
4.7422 -6.2212 -2.9902 O
1.0990 -5.9772 -1.4893 O
1.5640 -2.0884 -0.9926 O
1.0196 -0.4473 2.5477 O
4.1727 -4.6021 0.5563 O
0.0000 0.0000 0.0000 O
3.1531 -4.1548 -1.9914 O
```

The value obtained for the formation energy is -1.41 eV/atom. The space group is P-4b2, No. 117. The magnetic moment comes out at 2.70 μB/cell. The value obtained for the density is 9.08 g/cm³.

=====

Record 10
Below is an optimized crystal structure of Er2Mg2Ru, with properties calculated at the GGA-PBE level.

POSCAR file:
```
Er2Mg2Ru
1.0
4.6181 -9.4670 -1.5741
3.2096 -9.7083 2.9791
-6.0086 8.6816 -1.3985
Er Mg Ru
2 2 1
Cartesian
4.5297 -11.0962 0.8130 Er
3.2980 -8.0791 0.5920 Er
6.2515 -15.3142 1.1221 Mg
1.5762 -3.8611 0.2829 Mg
0.0000 0.0000 0.0000 Ru
```

The value obtained for the formation energy is -0.30 eV/atom. The space group is I4/mmm, No. 139. The magnetic moment comes out at 0.00 μB/cell. The value obtained for the density is 6.80 g/cm³.

=====

Record 11
Below is an optimized crystal structure of Er12Co7, with properties calculated at the GGA-PBE level.

POSCAR file:
```
Er12Co7
1.0
11.0764 0.0000 0.0000
0.0000 8.2035 0.0000
0.0000 6.2631 8.9589
Er Co
24 14
Cartesian
7.8103 5.2974 4.8152 Er
2.2721 12.3007 8.6232 Er
9.3284 8.2383 5.8954 Er
3.7902 9.3598 7.5429 Er
1.7480 6.2283 3.0635 Er
7.2862 5.1068 1.4160 Er
0.0530 9.1717 3.1777 Er
5.5912 2.1633 1.3018 Er
11.0234 5.2949 5.7812 Er
5.4852 12.3032 7.6571 Er
8.8042 2.1658 0.3357 Er
3.2660 9.1692 4.1437 Er
10.2760 6.8668 0.7772 Er
4.7378 4.4682 3.7023 Er
0.8004 7.5998 8.1817 Er
6.3385 9.9983 5.2566 Er
3.3298 6.2748 6.0466 Er
8.8680 11.3233 7.3917 Er
7.7465 8.1918 2.9123 Er
2.2084 3.1433 1.5672 Er
10.2910 4.1083 2.7188 Er
4.7528 7.2267 1.7607 Er
0.7854 10.3582 6.2401 Er
6.3236 7.2399 7.1982 Er
5.5382 7.2333 4.4794 Co
0.0000 4.1017 0.0000 Co
7.4319 7.6607 0.2754 Co
1.8937 3.6743 4.2040 Co
3.6445 6.8058 8.6835 Co
9.1826 10.7923 4.7549 Co
4.4505 4.6634 0.8947 Co
9.9887 6.6717 3.5848 Co
6.6258 9.8032 8.0642 Co
1.0877 7.7949 5.3741 Co
8.9789 6.0836 7.5578 Co
3.4407 11.5145 5.8806 Co
2.0975 8.3830 1.4011 Co
7.6357 2.9520 3.0783 Co
```

The value obtained for the formation energy is -0.21 eV/atom. The space group is P2_1/c, No. 14. The magnetic moment comes out at 0.19 μB/cell. The value obtained for the density is 9.87 g/cm³.

=====

Record 12
Below is an optimized crystal structure of BaLiF3, with properties calculated at the GGA-PBE level.

POSCAR file:
```
BaLiF3
1.0
4.0527 0.0000 0.0000
0.0000 4.0527 0.0000
0.0000 0.0000 4.0527
Ba Li F
1 1 3
Cartesian
0.0000 0.0000 0.0000 Ba
2.0263 2.0263 2.0263 Li
0.0000 2.0263 2.0263 F
2.0263 2.0263 0.0000 F
2.0263 0.0000 2.0263 F
```

The value obtained for the formation energy is -3.74 eV/atom. The space group is Pm-3m, No. 221. The value obtained for the density is 5.02 g/cm³.

=====

Record 13
Below is an optimized crystal structure of Ba2LaCl7, with properties calculated at the GGA-PBE level.

POSCAR file:
```
Ba2LaCl7
1.0
14.2133 0.0000 0.0000
0.0000 7.2920 0.0000
0.0000 0.5579 12.4569
Ba La Cl
8 4 28
Cartesian
7.6058 6.0153 9.1032 Ba
2.0306 5.6254 7.7085 Ba
11.0736 5.4554 1.4972 Ba
5.3807 5.2739 2.6838 Ba
12.4873 2.5759 9.7731 Ba
3.9670 2.3945 10.9596 Ba
9.1372 2.2245 4.7484 Ba
0.4992 1.8346 3.3537 Ba
12.0476 6.1741 6.7617 La
1.0378 5.7420 0.4302 La
8.1445 2.1079 12.0267 La
4.9410 1.6758 5.6951 La
9.9341 7.4811 11.0430 Cl
6.0917 7.4747 12.1934 Cl
7.2050 7.3603 6.2363 Cl
2.2169 7.0221 10.5547 Cl
3.4330 6.7663 4.8526 Cl
10.9271 6.7998 4.3584 Cl
13.1111 6.2785 9.3337 Cl
0.0519 5.8348 3.0444 Cl
4.7473 4.7967 8.9885 Cl
8.3818 4.5429 2.6976 Cl
9.9392 4.4913 7.5432 Cl
10.0191 4.0400 11.2377 Cl
13.6700 3.9271 6.7134 Cl
6.2566 4.1149 12.3075 Cl
13.3632 3.7350 0.1493 Cl
6.5634 3.9228 5.7435 Cl
2.9125 3.8099 1.2192 Cl
2.8325 3.3586 4.9137 Cl
1.2752 3.3069 9.7592 Cl
11.8539 3.0532 3.4684 Cl
7.1585 2.0151 9.4125 Cl
6.0044 1.5714 3.1232 Cl
3.8204 1.0501 8.0985 Cl
10.5397 1.0836 7.6043 Cl
9.3236 0.8278 1.9022 Cl
0.0983 0.4896 6.2206 Cl
13.1983 0.3752 0.2635 Cl
2.8275 0.3688 1.4139 Cl
```

The value obtained for the formation energy is -2.85 eV/atom. The space group is P2_1, No. 4. The magnetic moment comes out at 0.01 μB/cell. The value obtained for the density is 3.40 g/cm³.

=====

Record 14
Below is an optimized crystal structure of Sr3SbN3, with properties calculated at the GGA-PBE level.

POSCAR file:
```
Sr3SbN3
1.0
8.0121 0.0002 0.0000
-4.0059 6.9384 0.0000
0.0000 0.0000 5.3127
Sr Sb N
6 2 6
Cartesian
4.6444 4.4524 1.3282 Sr
5.5400 0.6905 1.3282 Sr
1.8341 1.7958 1.3282 Sr
-0.6382 2.4861 3.9845 Sr
-1.5337 6.2480 3.9845 Sr
2.1721 5.1427 3.9845 Sr
4.0062 2.3129 3.9845 Sb
0.0000 4.6256 1.3282 Sb
4.6838 4.3035 3.9845 N
5.3913 0.7307 3.9845 N
1.9432 1.9044 3.9845 N
-0.6776 2.6350 1.3282 N
-1.3851 6.2078 1.3282 N
2.0630 5.0341 1.3282 N
```

The value obtained for the formation energy is -0.56 eV/atom. The space group is P6_3/m, No. 176. The magnetic moment comes out at 0.00 μB/cell. The value obtained for the density is 4.80 g/cm³.